(1)
A geometry-optimized Cs4GeP4S12 structure, computed with PBE.

Cell and atoms, written as extended XYZ:
```
42
Lattice="6.4710 -4.2591 0.0000 6.4710 4.2591 0.0000 -5.1893 0.0000 24.1701" Properties=species:S:1:pos:R:3 pbc="T T T"
Cs 0.2528 0.4833 4.5282
Cs -2.3418 -0.4833 16.6132
Cs 1.6587 0.1147 10.8626
Cs -0.9359 -0.1147 22.9477
Cs 8.6885 0.1147 1.2224
Cs 6.0939 -0.1147 13.3074
Cs 10.0945 0.4833 7.5569
Cs 7.4998 -0.4833 19.6419
Ge 5.1736 0.0527 6.0425
Ge 2.5790 -0.0527 18.1276
P 4.7082 1.5695 3.1740
P 1.4308 0.5835 14.8815
P 5.6391 1.5695 8.9110
P 4.0255 -0.5835 2.7965
P 3.7272 0.5835 21.3736
P 2.1136 -1.5695 15.2591
P 6.3218 -0.5835 9.2886
P 3.0444 -1.5695 20.9961
S 3.3298 2.5863 4.2069
S -0.3351 0.5158 13.9805
S 5.4110 2.3140 1.4945
S 1.0812 1.2083 16.9808
S 2.8495 1.6826 14.0445
S 2.2595 -0.5158 1.8954
S 4.9363 2.3140 10.5905
S 3.9625 1.1320 7.6033
S 2.3085 1.6826 22.2107
S 7.0174 2.5863 7.8782
S 6.3848 1.1320 4.4817
S 4.0767 1.2083 19.2743
S 3.6759 -1.2083 4.8958
S 1.3678 -1.1320 19.6884
S 0.7352 -2.5863 16.2919
S 5.4441 -1.6826 1.9594
S 3.7901 -1.1320 16.5668
S 2.8164 -2.3140 13.5795
S 5.4931 0.5158 22.2747
S 4.9032 -1.6826 10.1256
S 6.6714 -1.2083 7.1892
S 2.3416 -2.3140 22.6756
S 8.0877 -0.5158 10.1896
S 4.4228 -2.5863 19.9632
```

The calculation puts the total energy at -4.475 eV/atom.


(2)
A geometry-optimized BaTb2SmO6 structure, computed with PBE.

Cell and atoms, written as extended XYZ:
```
10
Lattice="4.2958 -4.3173 0.0000 4.2958 4.3173 0.0000 0.0000 0.0000 4.3728" Properties=species:S:1:pos:R:3 pbc="T T T"
Ba 0.0000 0.0000 0.0000
Tb 2.1479 2.1586 2.1864
Tb 2.1479 -2.1586 2.1864
Sm 4.2958 0.0000 0.0000
O 2.1479 2.1586 0.0000
O 4.2958 2.7538 2.1864
O 2.9887 0.0000 2.1864
O 2.1479 -2.1586 0.0000
O 5.6029 0.0000 2.1864
O 4.2958 -2.7538 2.1864
```

For the energy above the lowest structure with this stoichiometry, the calculation gives 182 meV/atom.


(3)
A geometry-optimized Mg7Si4 structure, computed with PBE.

Cell and atoms, written as extended XYZ:
```
22
Lattice="5.4592 0.0000 0.0000 0.0049 6.2289 0.0000 1.5190 3.0837 13.2140" Properties=species:S:1:pos:R:3 pbc="T T T"
Mg 0.0000 0.0000 0.0000
Mg 1.5138 6.1890 12.9929
Mg 1.9481 4.6390 5.2773
Mg 2.0290 1.5023 5.7949
Mg 3.1343 7.8164 8.7676
Mg 3.2009 4.6596 8.2950
Mg 4.3353 4.6178 13.0166
Mg 4.3048 7.7517 12.4136
Mg 3.6674 1.4928 3.0395
Mg 4.5719 3.1165 5.7049
Mg 4.6988 6.2274 6.0157
Mg 4.4704 4.5702 2.5789
Mg 5.7990 3.2088 10.2826
Mg 5.8169 6.2563 9.8667
Si 0.7355 6.5097 3.6047
Si 0.7696 2.6824 3.5851
Si 3.0248 3.4728 10.8190
Si 3.0672 5.9098 10.7403
Si 2.0342 3.3782 1.7218
Si 2.0967 5.8125 1.7755
Si 5.8481 1.9046 7.8504
Si 5.9796 4.3652 7.7157
```

For the energy above the lowest structure with this stoichiometry, the calculation gives 0 meV/atom.


(4)
A geometry-optimized TmB2C2 structure, computed with PBE.

Cell and atoms, written as extended XYZ:
```
10
Lattice="3.7855 0.0000 0.0000 0.0000 3.7855 0.0000 0.0000 0.0000 6.9948" Properties=species:S:1:pos:R:3 pbc="T T T"
Tm 0.0000 0.0000 1.7487
Tm 0.0000 0.0000 5.2461
B 0.8145 1.8928 0.0000
B 1.8928 0.8145 3.4974
B 1.8928 2.9710 3.4974
B 2.9710 1.8928 0.0000
C 0.7117 1.8928 3.4974
C 1.8928 0.7117 0.0000
C 1.8928 3.0738 0.0000
C 3.0738 1.8928 3.4974
```

The calculation puts the total energy at -7.546 eV/atom.


(5)
A geometry-optimized ErTlSe2 structure, computed with PBE.

Cell and atoms, written as extended XYZ:
```
4
Lattice="2.0800 1.2009 7.8037 -2.0800 1.2009 7.8037 0.0000 -2.4018 7.8037" Properties=species:S:1:pos:R:3 pbc="T T T"
Er 0.0000 0.0000 0.0000
Tl 0.0000 0.0000 11.7055
Se 0.0000 0.0000 6.2355
Se 0.0000 0.0000 17.1756
```

The calculation puts the total energy at -4.854 eV/atom.


(6)
A geometry-optimized CsRb2InF6 structure, computed with PBE.

Cell and atoms, written as extended XYZ:
```
10
Lattice="0.0000 4.8995 4.8995 4.8995 0.0000 4.8995 4.8995 4.8995 0.0000" Properties=species:S:1:pos:R:3 pbc="T T T"
Cs 0.0000 0.0000 0.0000
Rb 2.4497 2.4497 2.4497
Rb 7.3492 7.3492 7.3492
In 4.8995 4.8995 4.8995
F 4.8995 4.8995 2.7922
F 4.8995 2.7922 4.8995
F 7.0068 4.8995 4.8995
F 2.7922 4.8995 4.8995
F 4.8995 7.0068 4.8995
F 4.8995 4.8995 7.0068
```

The calculation puts the total energy at -4.350 eV/atom.


(7)
A geometry-optimized Ce2TlAg structure, computed with PBE.

Cell and atoms, written as extended XYZ:
```
4
Lattice="0.0000 3.8151 3.8151 3.8151 0.0000 3.8151 3.8151 3.8151 0.0000" Properties=species:S:1:pos:R:3 pbc="T T T"
Ce 1.9075 1.9075 1.9075
Ce 5.7226 5.7226 5.7226
Tl 0.0000 0.0000 0.0000
Ag 3.8151 3.8151 3.8151
```

The calculation puts the total energy at -4.390 eV/atom.


(8)
A geometry-optimized La3C2I3 structure, computed with PBE.

Cell and atoms, written as extended XYZ:
```
64
Lattice="6.0772 -8.9587 0.0000 6.0772 8.9587 0.0000 0.0000 0.0000 17.8820" Properties=species:S:1:pos:R:3 pbc="T T T"
La 3.3760 4.4509 15.7582
La 3.4159 4.1015 10.7884
La 5.7071 6.3405 17.5118
La 6.0772 6.6094 13.4115
La 6.4473 6.3405 9.3112
La 3.1002 0.2544 7.1632
La 3.1002 -0.2544 10.7188
La 6.0772 3.0236 13.4115
La 5.7669 2.3521 8.9476
La 6.3874 2.3521 17.8754
La 8.7784 4.4509 11.0648
La 8.7384 4.1015 16.0347
La 3.4159 -4.1015 7.0936
La 3.3760 -4.4509 2.1238
La 5.7669 -2.3521 8.9344
La 6.3874 -2.3521 0.0066
La 6.0772 -3.0236 4.4705
La 9.0542 0.2544 1.7778
La 9.0542 -0.2544 16.1042
La 5.7071 -6.3405 0.3702
La 6.0772 -6.6094 4.4705
La 6.4473 -6.3405 8.5708
La 8.7384 -4.1015 1.8474
La 8.7784 -4.4509 6.8172
C 2.9992 2.7927 8.4281
C 3.0978 1.7592 9.3618
C 6.0448 4.9767 15.1977
C 6.1095 4.9767 11.6253
C 6.0384 3.9754 10.6551
C 6.1160 3.9754 16.1679
C 3.0978 -1.7592 8.5202
C 2.9992 -2.7927 9.4539
C 9.1551 2.7927 0.5129
C 9.0566 1.7592 17.4613
C 6.0384 -3.9754 7.2269
C 6.1160 -3.9754 1.7141
C 6.0448 -4.9767 2.6843
C 6.1095 -4.9767 6.2567
C 9.0566 -1.7592 0.4208
C 9.1551 -2.7927 17.3691
I 0.1148 0.1473 15.7521
I 0.1148 -0.1473 2.1300
I 2.9643 2.0492 13.3338
I 2.9965 2.0905 0.1087
I 3.2705 2.3660 4.3480
I 6.0422 4.6022 2.3738
I 6.1121 4.6022 6.5672
I 2.9643 -2.0492 4.5483
I 2.9965 -2.0905 17.7733
I 3.2705 -2.3660 13.5340
I 5.8723 0.0645 15.5101
I 5.8723 -0.0645 2.3720
I 6.2821 0.0645 11.3130
I 6.2821 -0.0645 6.5691
I 8.8838 2.3660 4.5930
I 9.1579 2.0905 8.8323
I 9.1901 2.0492 13.4893
I 6.0422 -4.6022 15.5083
I 6.1121 -4.6022 11.3148
I 8.8838 -2.3660 13.2890
I 9.1579 -2.0905 9.0497
I 9.1901 -2.0492 4.3927
I 12.0395 0.1473 11.0710
I 12.0395 -0.1473 6.8110
```

The calculation puts the total energy at -5.783 eV/atom.


(9)
A geometry-optimized MgTi4Zn2O10 structure, computed with PBE.

Cell and atoms, written as extended XYZ:
```
17
Lattice="3.6367 0.0000 0.0000 0.0000 12.4585 0.0000 0.0000 0.0000 4.9189" Properties=species:S:1:pos:R:3 pbc="T T T"
Mg 0.0000 0.0000 0.0000
Ti 0.0000 2.1983 2.2830
Ti 0.0000 10.2602 2.2830
Ti 1.8184 4.4851 3.2333
Ti 1.8184 7.9735 3.2333
Zn 0.0000 6.2293 0.9374
Zn 1.8184 0.0000 1.8676
O 0.0000 0.0000 2.9710
O 0.0000 1.9973 0.5902
O 0.0000 4.1834 2.5968
O 0.0000 8.2752 2.5968
O 0.0000 10.4612 0.5902
O 1.8184 2.4420 2.9458
O 1.8184 4.9101 4.9153
O 1.8184 6.2293 2.3675
O 1.8184 7.5484 4.9153
O 1.8184 10.0166 2.9458
```

For the energy above the lowest structure with this stoichiometry, the calculation gives 119 meV/atom.


(10)
A geometry-optimized NaYF4 structure, computed with PBE.

Cell and atoms, written as extended XYZ:
```
36
Lattice="6.0509 0.0000 0.0000 0.0000 7.1882 0.0000 -6.0465 0.0000 10.4539" Properties=species:S:1:pos:R:3 pbc="T T T"
Na 0.0000 1.1695 0.0000
Na -3.0232 6.0187 5.2269
Na -2.9383 2.4256 5.4200
Na 0.0850 4.7626 0.1930
Na 0.0355 1.7717 7.0550
Na 3.0587 5.4165 1.8281
Y 0.0315 7.1854 3.5785
Y -2.9917 0.0027 8.8054
Y -2.9815 3.5777 8.8246
Y 0.0418 3.6105 3.5977
Y 3.0619 1.8127 1.8591
Y 0.0387 5.3755 7.0860
F -0.6461 1.7955 2.1741
F -3.6693 5.3927 7.4010
F -3.6632 1.8014 7.4641
F -0.6400 5.3868 2.2371
F -3.9097 1.8095 10.0958
F -0.8864 5.3786 4.8689
F -0.7509 1.8039 4.8450
F -3.7741 5.3843 10.0720
F 1.4007 0.1804 1.7112
F -1.6225 7.0077 6.9382
F 1.4059 3.4574 1.7225
F -1.6173 3.7308 6.9494
F -1.4961 1.7800 8.8688
F 1.5272 5.4081 3.6418
F 1.6157 1.8012 3.7460
F -1.4076 5.3870 8.9730
F 3.9836 0.1767 0.4776
F 0.9604 7.0114 5.7046
F 4.0193 3.4361 0.4777
F 0.9961 3.7520 5.7047
F 3.7756 0.1356 3.3540
F 0.7524 7.0526 8.5810
F 3.7788 3.4388 3.3616
F 0.7556 3.7494 8.5886
```

The calculation puts the total energy at -6.231 eV/atom.


(11)
A geometry-optimized Hf3NiSb7 structure, computed with PBE.

Cell and atoms, written as extended XYZ:
```
44
Lattice="17.5015 0.0000 0.0000 0.0000 3.9523 0.0000 0.0000 0.0000 14.5453" Properties=species:S:1:pos:R:3 pbc="T T T"
Hf 1.8739 0.9881 1.3137
Hf 2.2651 0.9881 7.6859
Hf 2.6771 0.9881 11.7777
Hf 6.0737 2.9642 4.5050
Hf 6.4856 2.9642 0.4132
Hf 6.8769 2.9642 8.5864
Hf 10.6247 0.9881 5.9589
Hf 11.0159 0.9881 14.1321
Hf 11.4279 0.9881 10.0403
Hf 14.8245 2.9642 2.7676
Hf 15.2364 2.9642 6.8594
Hf 15.6276 2.9642 13.2316
Ni 1.1045 0.9881 4.5205
Ni 7.6463 2.9642 11.7932
Ni 9.8553 0.9881 2.7521
Ni 16.3971 2.9642 10.0248
Sb 0.3783 2.9642 2.9368
Sb 0.6576 2.9642 6.1700
Sb 1.2500 2.9642 13.6709
Sb 1.6238 2.9642 9.8170
Sb 3.6830 0.9881 4.5972
Sb 3.9950 2.9642 2.1204
Sb 4.3500 2.9642 6.9660
Sb 4.4007 0.9881 14.2387
Sb 4.7558 0.9881 9.3930
Sb 5.0678 2.9642 11.8699
Sb 7.1270 0.9881 2.5443
Sb 7.5008 0.9881 6.3982
Sb 8.0931 0.9881 13.4427
Sb 8.3725 0.9881 10.2094
Sb 9.1291 2.9642 4.3359
Sb 9.4084 2.9642 1.1026
Sb 10.0008 2.9642 8.1471
Sb 10.3746 2.9642 12.0010
Sb 12.4338 0.9881 2.6754
Sb 12.7457 2.9642 5.1523
Sb 13.1008 2.9642 0.3066
Sb 13.1515 0.9881 7.5793
Sb 13.5066 0.9881 12.4249
Sb 13.8185 2.9642 9.9481
Sb 15.8777 0.9881 4.7283
Sb 16.2515 0.9881 0.8744
Sb 16.8439 0.9881 8.3753
Sb 17.1232 0.9881 11.6085
```

The calculation puts the total energy at -6.261 eV/atom.


(12)
A geometry-optimized Rb2Mo15Se19 structure, computed with PBE.

Cell and atoms, written as extended XYZ:
```
72
Lattice="8.5852 -4.9544 0.0000 8.5852 4.9544 0.0000 -5.7362 0.0000 19.6936" Properties=species:S:1:pos:R:3 pbc="T T T"
Rb 1.4200 2.4771 16.5507
Rb 7.1461 2.4771 12.9897
Rb 4.2881 -2.4771 6.7039
Rb 10.0142 -2.4771 3.1429
Mo 0.1791 1.5500 8.7088
Mo 5.8698 3.3215 2.6178
Mo 7.1512 4.0331 4.9234
Mo 2.8548 1.8617 8.7063
Mo 5.7766 3.1666 7.2264
Mo 1.6041 0.9362 10.9821
Mo 8.5257 3.1666 2.6204
Mo 5.8037 1.7002 4.9236
Mo 8.4325 3.3215 7.2290
Mo -2.6890 -1.5500 18.5556
Mo 7.0629 0.9439 2.6193
Mo 4.4722 -0.9362 1.1353
Mo 8.4986 1.7002 4.9232
Mo 7.2395 0.9439 7.2275
Mo 11.4475 1.8617 1.1405
Mo -0.0133 -1.8617 18.5531
Mo 4.1947 -0.9439 12.4661
Mo 2.9356 -1.7002 14.7704
Mo 6.9620 0.9362 18.5583
Mo 4.3713 -0.9439 17.0743
Mo 14.1232 1.5500 1.1380
Mo 3.0017 -3.3215 12.4646
Mo 5.6305 -1.7002 14.7700
Mo 2.9085 -3.1666 17.0732
Mo 9.8301 -0.9362 8.7115
Mo 5.6576 -3.1666 12.4672
Mo 8.5794 -1.8617 10.9873
Mo 4.2830 -4.0331 14.7702
Mo 5.5644 -3.3215 17.0758
Mo 11.2551 -1.5500 10.9848
Se 4.4623 4.4259 12.6645
Se -1.0255 0.6985 10.8210
Se -1.6977 0.9735 14.7701
Se 1.4207 2.4807 13.0118
Se 4.1038 4.4259 16.8759
Se 7.1544 2.4763 0.5832
Se 1.8426 -0.6985 0.9742
Se 4.4602 1.1283 2.8171
Se -1.1222 0.5316 18.7196
Se 1.1704 -0.9735 4.9233
Se 4.1904 1.2483 10.8182
Se 1.7459 -0.5316 8.8728
Se 4.6357 0.8211 7.0290
Se 7.1479 2.4763 9.2636
Se 1.5921 -1.1283 12.6639
Se 4.3757 1.2483 18.7222
Se 7.1454 2.4807 16.5286
Se 4.2830 0.5290 14.7702
Se 1.7676 -0.8211 16.8758
Se 9.6666 0.8211 2.8178
Se 7.1512 -0.5290 4.9234
Se 4.2888 -2.4807 3.1650
Se 7.0585 -1.2483 0.9714
Se 9.8421 1.1283 7.0297
Se 4.2863 -2.4763 10.4300
Se 6.7985 -0.8211 12.6646
Se 9.6883 0.5316 10.8208
Se 7.2438 -1.2483 8.8754
Se 10.2638 0.9735 14.7703
Se 12.5564 -0.5316 0.9740
Se 6.9740 -1.1283 16.8765
Se 9.5916 0.6985 18.7194
Se 4.2798 -2.4763 19.1104
Se 7.3304 -4.4259 2.8177
Se 10.0135 -2.4807 6.6818
Se 13.1319 -0.9735 4.9235
Se 12.4597 -0.6985 8.8726
Se 6.9719 -4.4259 7.0291
```

The calculation puts the total energy at -7.023 eV/atom.